Entry from the Materials Project: a relaxed structure of MgTe2Mo2W2Se4S2 (PBE-GGA).

Cell lengths 3.340, 3.340, 45.372 Å; angles 90.00, 90.00, 120.00 degrees
Sites, in units of the cell vectors:
Mg (0.000, 0.000, 0.000)
Te (0.667, 0.333, 0.490)
Te (0.667, 0.333, 0.574)
Mo (0.333, 0.667, 0.532)
Mo (0.333, 0.667, 0.902)
W (0.667, 0.333, 0.105)
W (0.667, 0.333, 0.721)
Se (0.333, 0.667, 0.684)
Se (0.333, 0.667, 0.758)
Se (0.667, 0.333, 0.865)
Se (0.667, 0.333, 0.939)
S (0.333, 0.667, 0.071)
S (0.333, 0.667, 0.138)

Space-group type: P3m1 (156)
Energy relative to the elements (eV/atom): -0.5409
Energy above the most stable polymorph in this dataset (meV per atom): 5.2
Raw total energy (eV per atom): -6.4444